This record from the Materials Project describes a relaxed CeZnNi2 crystal. The functional is PBE.

Geometry as POSCAR:
```
CeZnNi2
1.0
5.272 0.000 0.000
-2.636 4.565 0.000
0.000 0.000 16.333
Ce Zn Ni
6 6 12
Cartesian
0.000 3.044 0.745
0.000 3.044 4.083
0.000 3.044 7.421
2.636 1.522 8.912
2.636 1.522 12.250
2.636 1.522 15.588
0.000 0.000 0.000
0.000 0.000 4.083
0.000 0.000 8.167
0.000 0.000 12.250
0.000 3.044 12.250
2.636 1.522 4.083
0.000 1.535 10.214
0.000 1.535 14.285
-1.306 3.798 10.214
-1.306 3.798 14.285
1.330 0.768 2.048
1.330 0.768 6.119
1.306 3.798 10.214
1.306 3.798 14.285
3.942 0.768 2.048
3.942 0.768 6.119
2.636 3.030 2.048
2.636 3.030 6.119
```

Computed properties:
**Size of the total moment**: 0.1075 μB/atom
**Volume**: 65.5 Å³/f.u.
**Crystal system**: hexagonal
**Formation energy from the elements**: -1.36 eV per formula unit

---

This record from the Materials Project describes a relaxed UH14Se2O10 crystal. The functional is PBE.

Geometry as POSCAR:
```
UH14Se2O10
1.0
10.170 0.000 0.000
0.000 11.192 0.000
-5.859 0.000 13.213
U H Se O
4 56 8 40
Cartesian
-0.718 2.114 2.287
-3.647 3.482 8.894
7.958 7.710 4.319
5.029 9.078 10.925
-2.005 6.075 9.099
0.924 10.713 2.493
1.670 5.916 0.836
-1.260 10.872 7.442
-0.597 0.808 6.360
-3.526 4.788 12.967
0.375 0.401 5.761
-2.555 5.195 12.367
1.017 0.155 5.348
-1.912 5.441 11.955
2.960 2.058 1.335
0.031 3.537 7.941
3.505 2.168 0.829
0.576 3.428 7.436
1.334 7.037 6.576
-1.596 9.750 13.182
3.519 7.896 2.056
0.590 8.892 8.662
2.661 6.365 4.058
-0.268 10.423 10.665
-0.310 6.546 11.421
2.619 10.242 4.815
1.712 6.576 7.030
4.642 10.211 0.423
0.186 6.877 10.965
4.047 8.392 2.250
1.118 8.396 8.857
3.116 9.911 4.358
1.195 1.281 8.855
3.193 2.796 4.356
0.263 2.800 10.963
4.125 4.315 2.248
-0.331 0.980 12.790
2.598 4.615 6.183
1.691 0.950 8.398
4.621 4.646 1.792
4.579 0.769 2.548
1.649 4.827 9.155
3.721 2.300 4.551
0.791 3.296 11.157
5.907 1.442 0.031
2.977 4.154 6.637
3.735 7.764 5.777
0.806 9.024 12.384
4.280 7.654 5.272
1.350 9.133 11.878
6.223 5.751 1.258
3.293 11.037 7.865
6.865 5.997 0.846
3.936 10.791 7.452
7.837 6.404 0.246
4.908 10.384 6.852
5.570 0.320 5.771
2.641 5.276 12.377
3.387 0.479 10.720
6.316 5.117 4.114
-5.164 1.479 11.936
-2.235 4.117 5.329
0.640 5.673 2.853
-2.290 11.114 9.460
6.600 0.077 3.753
3.671 5.518 10.360
6.545 7.075 7.884
9.475 9.713 1.277
-1.015 6.305 2.950
-3.945 10.483 9.556
0.400 2.346 0.091
-2.530 3.249 6.698
-1.764 5.688 5.647
-4.694 11.099 12.253
-4.021 2.245 11.018
-1.091 3.351 4.412
-3.649 8.319 11.585
-0.720 8.469 4.979
-2.377 1.516 8.918
0.553 4.080 2.312
1.046 6.512 1.332
-1.883 10.275 7.939
-2.113 7.028 8.777
0.817 9.760 2.171
0.758 1.199 2.858
-2.171 4.397 9.465
-0.461 0.070 10.186
2.469 5.526 3.580
1.842 5.665 9.633
4.771 11.122 3.027
6.482 6.795 3.748
3.553 9.993 10.355
3.494 1.432 11.042
6.424 4.164 4.436
6.194 0.916 5.274
3.265 4.679 11.881
3.758 7.112 10.901
6.687 9.675 4.294
5.031 2.723 8.234
7.960 2.873 1.628
5.402 7.840 8.801
8.332 8.947 2.195
9.004 0.092 0.960
6.075 5.503 7.566
6.841 7.942 6.515
3.911 8.845 13.122
8.256 0.709 3.657
5.326 4.887 10.263
```

Computed properties:
**Size of the total moment**: 0.0001 μB/atom
**Volume**: 376.0 Å³/f.u.
**Crystal system**: monoclinic
**Formation energy from the elements**: -23.26 eV per formula unit

---

This record from the Materials Project describes a relaxed CeSiNi4 crystal. The functional is PBE.

Geometry as POSCAR:
```
CeSiNi4
1.0
2.522 -4.078 0.000
2.522 4.078 0.000
0.000 0.000 4.012
Ce Si Ni
1 1 4
Cartesian
0.000 0.000 0.000
2.522 0.000 2.006
1.261 2.039 2.006
2.522 1.309 0.000
1.261 -2.039 2.006
2.522 -1.309 0.000
```

Computed properties:
**Volume**: 82.6 Å³/f.u.
**Crystal system**: orthorhombic
**Formation energy from the elements**: -3.53 eV per formula unit

---

This record from the Materials Project describes a relaxed Be13Tc crystal. The functional is PBE.

Geometry as POSCAR:
```
Be13Tc
1.0
0.000 6.760 6.760
6.760 0.000 6.760
6.760 6.760 0.000
Be Tc
52 4
Cartesian
5.786 4.354 1.715
5.786 1.715 4.354
8.425 4.354 4.354
10.210 6.691 5.021
10.210 5.021 6.691
11.880 6.691 6.691
3.311 3.311 1.640
6.829 6.829 1.640
3.311 1.640 3.311
8.500 6.829 3.311
6.829 1.640 6.829
8.500 3.311 6.829
1.690 1.690 1.690
4.354 5.786 1.715
4.354 1.715 5.786
8.425 5.786 5.786
1.640 3.311 3.311
6.829 8.500 3.311
6.829 3.311 8.500
5.070 5.070 5.070
7.735 7.735 5.095
9.166 9.166 5.095
7.735 5.095 7.735
11.806 9.166 7.735
9.166 5.095 9.166
11.806 7.735 9.166
1.715 5.786 4.354
4.354 8.425 4.354
1.715 4.354 5.786
5.786 8.425 5.786
4.354 4.354 8.425
5.786 5.786 8.425
8.450 8.450 8.450
6.691 10.210 5.021
6.691 5.021 10.210
11.880 10.210 10.210
5.095 7.735 7.735
9.166 11.806 7.735
9.166 7.735 11.806
11.831 11.831 11.831
5.021 10.210 6.691
6.691 11.880 6.691
5.021 6.691 10.210
10.210 11.880 10.210
6.691 6.691 11.880
10.210 10.210 11.880
1.640 6.829 6.829
3.311 8.500 6.829
3.311 6.829 8.500
5.095 9.166 9.166
7.735 11.806 9.166
7.735 9.166 11.806
6.760 3.380 3.380
3.380 6.760 3.380
3.380 3.380 6.760
6.760 6.760 6.760
```

Computed properties:
**Size of the total moment**: 0.0173 μB/atom
**Volume**: 154.5 Å³/f.u.
**Crystal system**: cubic
**Formation energy from the elements**: 10.12 eV per formula unit

---

This record from the Materials Project describes a relaxed Ca2CdPb crystal. The functional is PBE.

Geometry as POSCAR:
```
Ca2CdPb
1.0
0.000 3.888 3.888
3.888 0.000 3.888
3.888 3.888 0.000
Ca Cd Pb
2 1 1
Cartesian
1.944 1.944 1.944
5.832 5.832 5.832
0.000 0.000 0.000
3.888 3.888 3.888
```

Computed properties:
**Volume**: 117.6 Å³/f.u.
**Crystal system**: cubic
**Formation energy from the elements**: -2.01 eV per formula unit

---

This record from the Materials Project describes a relaxed ZrNb3C4 crystal. The functional is PBE.

Geometry as POSCAR:
```
ZrNb3C4
1.0
1.609 0.929 10.550
-1.609 0.929 10.550
0.000 -1.858 10.550
Zr Nb C
1 3 4
Cartesian
0.000 0.000 0.000
0.000 0.000 7.858
0.000 0.000 15.825
0.000 0.000 23.792
0.000 0.000 3.981
0.000 0.000 11.955
0.000 0.000 19.696
0.000 0.000 27.669
```

Computed properties:
**Size of the total moment**: 0.0020 μB/atom
**Volume**: 94.7 Å³/f.u.
**Crystal system**: trigonal
**Formation energy from the elements**: -4.48 eV per formula unit

---

This record from the Materials Project describes a relaxed LuCuSi crystal. The functional is PBE.

Geometry as POSCAR:
```
LuCuSi
1.0
4.108 0.000 0.000
-2.054 3.557 0.000
0.000 0.000 7.217
Lu Cu Si
2 2 2
Cartesian
0.000 0.000 0.000
0.000 0.000 3.609
0.000 2.372 1.804
2.054 1.186 5.413
0.000 2.372 5.413
2.054 1.186 1.804
```

Computed properties:
**Volume**: 52.7 Å³/f.u.
**Crystal system**: hexagonal
**Formation energy from the elements**: -1.89 eV per formula unit

---

This record from the Materials Project describes a relaxed CaSc4Si4O14 crystal. The functional is PBE.

Geometry as POSCAR:
```
CaSc4Si4O14
1.0
-3.329 3.710 5.077
3.329 -3.710 5.077
3.329 3.710 -5.077
Ca Sc Si O
1 4 4 14
Cartesian
0.000 0.000 0.000
3.329 1.703 0.204
1.713 3.710 -1.859
1.616 0.000 3.218
0.000 2.007 5.282
0.000 2.332 0.683
0.000 5.087 0.683
-1.629 3.710 2.865
1.629 3.710 2.865
1.592 1.541 -0.952
5.066 1.541 -0.952
3.329 0.000 1.696
0.000 0.000 2.104
0.000 0.000 4.657
3.329 0.000 4.753
1.390 2.467 1.605
1.939 -1.243 6.682
-1.737 2.169 4.125
1.737 2.169 4.125
0.000 0.000 7.782
1.390 4.953 1.605
1.939 1.243 6.682
0.000 3.710 3.516
```

Computed properties:
**Size of the total moment**: 0.0000 μB/atom
**Volume**: 250.8 Å³/f.u.
**Crystal system**: orthorhombic
**Formation energy from the elements**: -69.82 eV per formula unit

---

This record from the Materials Project describes a relaxed NpCuSe2 crystal. The functional is PBE.

Geometry as POSCAR:
```
NpCuSe2
1.0
6.601 0.000 0.000
0.000 7.356 0.000
-0.886 0.000 7.039
Np Cu Se
4 4 8
Cartesian
1.009 0.360 2.086
0.566 3.318 5.606
5.149 4.038 1.433
4.706 6.996 4.952
2.469 4.873 3.249
2.026 6.160 6.768
3.689 1.195 0.270
3.246 2.483 3.790
0.105 5.365 3.532
0.548 5.669 0.013
1.996 0.805 5.011
2.439 2.873 1.491
3.276 4.483 5.547
3.719 6.550 2.028
5.167 1.687 7.026
5.610 1.991 3.507
```

Computed properties:
**Size of the total moment**: 1.0000 μB/atom
**Volume**: 85.4 Å³/f.u.
**Crystal system**: monoclinic
**Formation energy from the elements**: -4.08 eV per formula unit

---

This record from the Materials Project describes a relaxed Na8Nb2Zn2Si5SO24 crystal. The functional is PBE.

Geometry as POSCAR:
```
Na8Nb2Zn2Si5SO24
1.0
9.176 0.000 0.000
4.579 7.988 0.000
0.029 0.085 22.303
Na Nb Zn Si S O
24 6 6 15 3 72
Cartesian
0.000 0.000 0.000
4.322 7.492 14.686
1.600 2.665 3.727
3.987 2.743 14.844
5.556 5.274 3.729
7.315 7.773 13.077
7.374 7.771 1.742
5.724 4.785 18.448
4.635 2.747 7.451
4.280 2.020 0.000
6.160 4.997 11.508
8.609 5.281 0.103
5.786 0.170 11.406
7.370 2.474 9.479
7.339 2.406 20.371
9.080 5.277 14.756
10.318 7.392 3.610
10.736 8.019 18.702
8.987 4.668 7.458
13.080 7.924 7.555
10.184 2.654 18.545
10.155 2.241 11.496
11.895 5.026 5.581
12.017 5.072 16.627
7.196 7.908 16.413
7.344 7.797 9.870
7.443 7.763 5.259
7.258 2.525 1.467
11.963 5.118 8.992
12.031 5.143 20.202
7.323 7.967 20.967
7.314 2.586 6.177
7.347 2.516 17.075
7.497 2.640 12.677
11.892 5.025 2.239
11.994 5.039 13.366
4.598 7.831 18.804
1.446 2.132 7.531
5.452 5.150 0.220
4.127 2.762 11.304
5.991 5.482 7.548
4.162 2.190 18.777
4.653 2.460 3.921
6.026 4.844 15.015
10.076 7.765 7.579
8.706 4.784 3.913
9.283 5.176 11.316
10.605 7.432 0.194
10.011 2.550 15.007
10.567 2.739 0.192
13.282 7.471 11.312
8.752 5.526 18.748
5.957 0.124 15.040
8.729 0.156 3.861
3.717 6.397 18.818
2.047 3.360 1.506
2.209 3.594 7.618
3.972 6.528 12.603
5.532 8.014 20.082
1.068 0.072 3.879
1.837 1.177 8.812
1.879 1.142 15.167
3.333 3.670 18.836
4.346 5.413 7.609
1.975 1.246 0.049
5.642 7.600 17.467
2.157 1.339 6.221
5.762 7.635 11.100
3.353 3.287 12.609
4.425 5.145 14.949
4.574 5.396 1.525
3.698 3.757 3.788
3.741 3.752 9.977
4.458 4.919 21.194
6.314 6.465 6.224
3.443 1.369 17.477
3.439 1.260 11.074
6.538 6.408 22.274
6.630 6.314 8.811
3.738 1.030 3.915
6.812 6.383 15.233
3.947 1.292 20.085
6.255 3.973 16.363
5.562 2.611 5.227
6.294 3.682 0.236
5.734 2.633 11.296
7.870 6.263 3.926
6.778 4.285 13.683
5.752 2.448 18.605
6.674 4.031 7.571
5.681 2.205 2.576
9.018 7.953 15.179
9.029 7.943 8.822
8.298 6.505 11.090
9.018 7.641 0.014
8.219 6.150 19.966
9.043 7.527 6.245
8.458 6.349 17.533
6.144 0.944 13.826
7.977 3.974 2.581
6.424 1.076 7.481
8.196 4.158 18.654
6.501 0.759 16.264
8.391 3.833 11.229
8.486 3.873 5.211
6.818 0.932 0.260
10.152 5.550 12.615
10.873 6.571 1.513
10.268 5.436 18.779
11.126 6.767 14.956
10.922 6.357 7.620
8.893 2.679 0.262
10.288 5.076 3.768
10.320 5.020 9.981
8.001 0.934 11.264
11.358 6.722 21.163
8.224 1.117 18.607
9.183 2.673 16.392
9.023 2.239 7.495
8.193 0.773 5.083
8.431 0.986 2.642
9.180 2.085 13.691
10.892 3.854 21.166
11.012 3.827 14.931
12.663 6.630 9.968
12.755 6.777 3.760
```

Computed properties:
**Size of the total moment**: 0.0000 μB/atom
**Volume**: 544.9 Å³/f.u.
**Crystal system**: triclinic
**Formation energy from the elements**: -109.28 eV per formula unit

---

no.,mass density (g/cm3)
1,8.185
2,2.518
3,8.106
4,2.313
5,5.647
6,7.332
7,8.395
8,3.682
9,8.910
10,3.221